[1]
Here is a relaxed Bi3B7O12 crystal from the Materials Project. Energies are from GGA-PBE.

Results
space group	P-1
calculated formation energy	-2.369	eV/atom

```
data_Bi3B7O12
_chemical_formula_sum 'Bi6 B14 O24'
_symmetry_space_group_name_H-M 'P 1'
_symmetry_Int_Tables_number 1
_cell_length_a 7.0434
_cell_length_b 9.1181
_cell_length_c 9.4426
_cell_angle_alpha 95.36
_cell_angle_beta 104.26
_cell_angle_gamma 96.94
loop_
_symmetry_equiv_pos_as_xyz
'x,y,z'
loop_
_atom_site_label
_atom_site_type_symbol
_atom_site_fract_x
_atom_site_fract_y
_atom_site_fract_z
_atom_site_occupancy
Bi1 Bi 0.0085 0.3375 0.0030 1
Bi2 Bi 0.1335 0.0501 0.1835 1
Bi3 Bi 0.3360 0.7734 0.2629 1
Bi4 Bi 0.6640 0.2266 0.7371 1
Bi5 Bi 0.8665 0.9499 0.8165 1
Bi6 Bi 0.9915 0.6625 0.9970 1
B1 B 0.1398 0.2531 0.6943 1
B2 B 0.1419 0.7073 0.5208 1
B3 B 0.1990 0.3105 0.4549 1
B4 B 0.3065 0.5247 0.8105 1
B5 B 0.3136 0.0647 0.8580 1
B6 B 0.4163 0.8030 0.9090 1
B7 B 0.4966 0.3253 0.3157 1
B8 B 0.5034 0.6747 0.6843 1
B9 B 0.5837 0.1970 0.0910 1
B10 B 0.6864 0.9353 0.1420 1
B11 B 0.6935 0.4753 0.1895 1
B12 B 0.8010 0.6895 0.5451 1
B13 B 0.8581 0.2927 0.4792 1
B14 B 0.8602 0.7469 0.3057 1
O1 O 0.9998 0.3363 0.4060 1
O2 O 0.0002 0.6637 0.5940 1
O3 O 0.0740 0.7530 0.3813 1
O4 O 0.1542 0.1150 0.7657 1
O5 O 0.1942 0.3881 0.8130 1
O6 O 0.2563 0.2571 0.5883 1
O7 O 0.2808 0.6544 0.8916 1
O8 O 0.2882 0.9167 0.8703 1
O9 O 0.3162 0.3356 0.3633 1
O10 O 0.3401 0.7117 0.5656 1
O11 O 0.4420 0.5318 0.7306 1
O12 O 0.4459 0.2062 0.1835 1
O13 O 0.4769 0.1692 0.9302 1
O14 O 0.5231 0.8308 0.0698 1
O15 O 0.5541 0.7938 0.8165 1
O16 O 0.5580 0.4682 0.2694 1
O17 O 0.6599 0.2883 0.4344 1
O18 O 0.6838 0.6644 0.6367 1
O19 O 0.7118 0.0833 0.1297 1
O20 O 0.7192 0.3456 0.1084 1
O21 O 0.7437 0.7429 0.4117 1
O22 O 0.8058 0.6119 0.1870 1
O23 O 0.8458 0.8850 0.2343 1
O24 O 0.9260 0.2470 0.6187 1
```



[2]
Here is a relaxed Co4Re crystal from the Materials Project. Energies are from GGA-PBE.

Results
space group	R-3m
calculated formation energy	0.292	eV/atom

```
data_Co4Re
_chemical_formula_sum 'Co4 Re1'
_symmetry_space_group_name_H-M 'P 1'
_symmetry_Int_Tables_number 1
_cell_length_a 10.3756
_cell_length_b 10.3756
_cell_length_c 10.3756
_cell_angle_alpha 14.41
_cell_angle_beta 14.41
_cell_angle_gamma 14.41
loop_
_symmetry_equiv_pos_as_xyz
'x,y,z'
loop_
_atom_site_label
_atom_site_type_symbol
_atom_site_fract_x
_atom_site_fract_y
_atom_site_fract_z
_atom_site_occupancy
Co1 Co 0.0962 0.0962 0.0962 1
Co2 Co 0.3012 0.3012 0.3012 1
Co3 Co 0.6988 0.6988 0.6988 1
Co4 Co 0.9038 0.9038 0.9038 1
Re1 Re 0.5000 0.5000 0.5000 1
```



[3]
Here is a relaxed Zn3Fe2N4 crystal from the Materials Project. Energies are from GGA-PBE.

Results
space group	C2/c
calculated formation energy	0.141	eV/atom

```
data_Zn3Fe2N4
_chemical_formula_sum 'Zn6 Fe4 N8'
_symmetry_space_group_name_H-M 'P 1'
_symmetry_Int_Tables_number 1
_cell_length_a 6.1254
_cell_length_b 6.1254
_cell_length_c 5.1756
_cell_angle_alpha 91.28
_cell_angle_beta 91.28
_cell_angle_gamma 86.59
loop_
_symmetry_equiv_pos_as_xyz
'x,y,z'
loop_
_atom_site_label
_atom_site_type_symbol
_atom_site_fract_x
_atom_site_fract_y
_atom_site_fract_z
_atom_site_occupancy
Zn1 Zn 0.1162 0.8838 0.7500 1
Zn2 Zn 0.2445 0.5288 0.4219 1
Zn3 Zn 0.4712 0.7555 0.0781 1
Zn4 Zn 0.5288 0.2445 0.9219 1
Zn5 Zn 0.7555 0.4712 0.5781 1
Zn6 Zn 0.8838 0.1162 0.2500 1
Fe1 Fe 0.0949 0.3422 0.8781 1
Fe2 Fe 0.3422 0.0949 0.3781 1
Fe3 Fe 0.6578 0.9051 0.6219 1
Fe4 Fe 0.9051 0.6578 0.1219 1
N1 N 0.1131 0.2526 0.5311 1
N2 N 0.1948 0.6057 0.0091 1
N3 N 0.2526 0.1131 0.0311 1
N4 N 0.3943 0.8052 0.4909 1
N5 N 0.6057 0.1948 0.5091 1
N6 N 0.7474 0.8869 0.9689 1
N7 N 0.8052 0.3943 0.9909 1
N8 N 0.8869 0.7474 0.4689 1
```



[4]
Here is a relaxed MgV2Au2S4 crystal from the Materials Project. Energies are from GGA-PBE.

Results
space group	P3m1
calculated formation energy	-0.941	eV/atom

```
data_MgV2Au2S4
_chemical_formula_sum 'Mg1 V2 Au2 S4'
_symmetry_space_group_name_H-M 'P 1'
_symmetry_Int_Tables_number 1
_cell_length_a 3.2414
_cell_length_b 3.2414
_cell_length_c 16.9944
_cell_angle_alpha 90.00
_cell_angle_beta 90.00
_cell_angle_gamma 120.00
loop_
_symmetry_equiv_pos_as_xyz
'x,y,z'
loop_
_atom_site_label
_atom_site_type_symbol
_atom_site_fract_x
_atom_site_fract_y
_atom_site_fract_z
_atom_site_occupancy
Mg1 Mg 0.0000 0.0000 0.0000 1
V1 V 0.0000 0.0000 0.6545 1
V2 V 0.3333 0.6667 0.2093 1
Au1 Au 0.6667 0.3333 0.4323 1
Au2 Au 0.6667 0.3333 0.8871 1
S1 S 0.6667 0.3333 0.1217 1
S2 S 0.6667 0.3333 0.2933 1
S3 S 0.6667 0.3333 0.5710 1
S4 S 0.6667 0.3333 0.7388 1
```



[5]
Here is a relaxed Mo3WSe2S6 crystal from the Materials Project. Energies are from GGA-PBE.

Results
space group	P3m1
calculated formation energy	-1.047	eV/atom

```
data_Mo3WSe2S6
_chemical_formula_sum 'Mo3 W1 Se2 S6'
_symmetry_space_group_name_H-M 'P 1'
_symmetry_Int_Tables_number 1
_cell_length_a 3.2211
_cell_length_b 3.2211
_cell_length_c 36.3074
_cell_angle_alpha 90.00
_cell_angle_beta 90.00
_cell_angle_gamma 120.00
loop_
_symmetry_equiv_pos_as_xyz
'x,y,z'
loop_
_atom_site_label
_atom_site_type_symbol
_atom_site_fract_x
_atom_site_fract_y
_atom_site_fract_z
_atom_site_occupancy
Mo1 Mo 0.0000 0.0000 0.0000 1
Mo2 Mo 0.0000 0.0000 0.3757 1
Mo3 Mo 0.3333 0.6667 0.1879 1
W1 W 0.3333 0.6667 0.5636 1
Se1 Se 0.3333 0.6667 0.0471 1
Se2 Se 0.3333 0.6667 0.9529 1
S1 S 0.0000 0.0000 0.1451 1
S2 S 0.0000 0.0000 0.2307 1
S3 S 0.0000 0.0000 0.5207 1
S4 S 0.0000 0.0000 0.6066 1
S5 S 0.3333 0.6667 0.3330 1
S6 S 0.3333 0.6667 0.4185 1
```



[6]
Here is a relaxed HfZn2 crystal from the Materials Project. Energies are from GGA-PBE.

Results
space group	P6_3/mmc
calculated formation energy	-0.221	eV/atom

```
data_HfZn2
_chemical_formula_sum 'Hf8 Zn16'
_symmetry_space_group_name_H-M 'P 1'
_symmetry_Int_Tables_number 1
_cell_length_a 5.2220
_cell_length_b 5.2220
_cell_length_c 16.8336
_cell_angle_alpha 90.00
_cell_angle_beta 90.00
_cell_angle_gamma 120.00
loop_
_symmetry_equiv_pos_as_xyz
'x,y,z'
loop_
_atom_site_label
_atom_site_type_symbol
_atom_site_fract_x
_atom_site_fract_y
_atom_site_fract_z
_atom_site_occupancy
Hf1 Hf 0.0000 0.0000 0.0915 1
Hf2 Hf 0.0000 0.0000 0.4085 1
Hf3 Hf 0.0000 0.0000 0.5915 1
Hf4 Hf 0.0000 0.0000 0.9085 1
Hf5 Hf 0.3333 0.6667 0.1576 1
Hf6 Hf 0.3333 0.6667 0.3424 1
Hf7 Hf 0.6667 0.3333 0.6576 1
Hf8 Hf 0.6667 0.3333 0.8424 1
Zn1 Zn 0.0000 0.5000 0.0000 1
Zn2 Zn 0.0000 0.5000 0.5000 1
Zn3 Zn 0.1610 0.3220 0.7500 1
Zn4 Zn 0.1610 0.8390 0.7500 1
Zn5 Zn 0.3220 0.1610 0.2500 1
Zn6 Zn 0.3333 0.6667 0.6268 1
Zn7 Zn 0.3333 0.6667 0.8732 1
Zn8 Zn 0.5000 0.0000 0.0000 1
Zn9 Zn 0.5000 0.0000 0.5000 1
Zn10 Zn 0.5000 0.5000 0.0000 1
Zn11 Zn 0.5000 0.5000 0.5000 1
Zn12 Zn 0.6667 0.3333 0.1268 1
Zn13 Zn 0.6667 0.3333 0.3732 1
Zn14 Zn 0.6780 0.8390 0.7500 1
Zn15 Zn 0.8390 0.1610 0.2500 1
Zn16 Zn 0.8390 0.6780 0.2500 1
```



[7]
Here is a relaxed Ni crystal from the Materials Project. Energies are from GGA-PBE.

Results
space group	P6_3/mmc
calculated formation energy	0.026	eV/atom

```
data_Ni
_chemical_formula_sum 'Ni2'
_symmetry_space_group_name_H-M 'P 1'
_symmetry_Int_Tables_number 1
_cell_length_a 2.4743
_cell_length_b 2.4743
_cell_length_c 4.0702
_cell_angle_alpha 90.00
_cell_angle_beta 90.00
_cell_angle_gamma 120.00
loop_
_symmetry_equiv_pos_as_xyz
'x,y,z'
loop_
_atom_site_label
_atom_site_type_symbol
_atom_site_fract_x
_atom_site_fract_y
_atom_site_fract_z
_atom_site_occupancy
Ni1 Ni 0.3333 0.6667 0.2500 1
Ni2 Ni 0.6667 0.3333 0.7500 1
```



[8]
Here is a relaxed HoNiGe crystal from the Materials Project. Energies are from GGA-PBE.

Results
space group	C2/m
calculated formation energy	-0.719	eV/atom

```
data_HoNiGe
_chemical_formula_sum 'Ho2 Ni2 Ge2'
_symmetry_space_group_name_H-M 'P 1'
_symmetry_Int_Tables_number 1
_cell_length_a 5.5022
_cell_length_b 5.5022
_cell_length_c 6.8410
_cell_angle_alpha 128.22
_cell_angle_beta 128.22
_cell_angle_gamma 44.15
loop_
_symmetry_equiv_pos_as_xyz
'x,y,z'
loop_
_atom_site_label
_atom_site_type_symbol
_atom_site_fract_x
_atom_site_fract_y
_atom_site_fract_z
_atom_site_occupancy
Ho1 Ho 0.0483 0.0483 0.3078 1
Ho2 Ho 0.9517 0.9517 0.6922 1
Ni1 Ni 0.3299 0.3299 0.2791 1
Ni2 Ni 0.6701 0.6701 0.7209 1
Ge1 Ge 0.3299 0.3299 0.8935 1
Ge2 Ge 0.6701 0.6701 0.1065 1
```